# SiGeN2 PBE-GGA optimized geometry
data_SiGeN2
_chemical_formula_sum 'Si4 Ge4 N8'
_space_group_name_H-M_alt 'P 1 21/c 1'
_space_group_IT_number 14
_space_group_name_Hall '-P 2ybc'
_cell_length_a 7.6567
_cell_length_b 5.9454
_cell_length_c 5.1501
_cell_angle_alpha 90.00
_cell_angle_beta 106.03
_cell_angle_gamma 90.00
loop_
_atom_site_label
_atom_site_fract_x
_atom_site_fract_y
_atom_site_fract_z
_atom_site_occupancy
Si1 0.1113 0.1386 0.1409 1
Ge1 0.2981 0.6180 0.2159 1
N1 0.1347 0.6204 0.4808 1
N2 0.1866 0.1402 0.4865 1
# Energy of formation from the pure elements   -652 meV per atom
# Theoretical density   3795 kg/m³
# Calculated total energy   -7.152 eV per atom
# Distance to the lowest polymorph of the same formula   0.0 meV per atom



# Li2Y14Ti14S14O35 PBE-GGA optimized geometry
data_Li2Y14Ti14S14O35
_chemical_formula_sum 'Li2 Y14 Ti14 S14 O35'
_space_group_name_H-M_alt 'P -1'
_space_group_IT_number 2
_space_group_name_Hall '-P 1'
_cell_length_a 8.5963
_cell_length_b 12.1571
_cell_length_c 12.8968
_cell_angle_alpha 67.85
_cell_angle_beta 70.54
_cell_angle_gamma 81.87
loop_
_atom_site_label
_atom_site_fract_x
_atom_site_fract_y
_atom_site_fract_z
_atom_site_occupancy
Li1 0.0000 0.0000 0.0000 1
Li2 0.0000 0.5000 0.0000 1
Y1 0.0697 0.4762 0.6679 1
Y2 0.0735 0.8102 0.3307 1
Y3 0.2149 0.7610 0.6680 1
Y4 0.2172 0.0942 0.3332 1
Y5 0.3573 0.0467 0.6685 1
Y6 0.3569 0.3808 0.3336 1
Y7 0.4973 0.6680 0.3330 1
Ti1 0.0043 0.0885 0.1641 1
Ti2 0.1451 0.2057 0.8360 1
Ti3 0.1520 0.3694 0.1640 1
Ti4 0.2871 0.6584 0.1599 1
Ti5 0.2925 0.4865 0.8363 1
Ti6 0.4242 0.7728 0.8399 1
Ti7 0.4315 0.9430 0.1599 1
S1 0.0383 0.2829 0.4078 1
S2 0.1032 0.0040 0.5925 1
S3 0.1808 0.5673 0.4119 1
S4 0.2454 0.2874 0.5924 1
S5 0.3230 0.8528 0.4121 1
S6 0.3881 0.5741 0.5921 1
S7 0.4662 0.1388 0.4116 1
O1 0.0559 0.7131 0.2010 1
O2 0.0587 0.2151 0.2005 1
O3 0.0698 0.1398 0.0000 1
O4 0.0802 0.0670 0.8127 1
O5 0.0807 0.5672 0.8121 1
O6 0.2005 0.0000 0.2010 1
O7 0.2007 0.4997 0.2012 1
O8 0.2094 0.4308 0.0000 1
O9 0.2281 0.8568 0.7989 1
O10 0.2306 0.3583 0.7994 1
O11 0.3415 0.7859 0.2006 1
O12 0.3450 0.2847 0.2005 1
O13 0.3555 0.7148 0.9999 1
O14 0.3730 0.1438 0.7988 1
O15 0.3732 0.6433 0.7988 1
O16 0.4830 0.5720 0.2007 1
O17 0.4864 0.0708 0.2006 1
O18 0.5000 0.0000 0.0000 1
# Energy of formation from the pure elements   -3241 meV per atom
# Theoretical density   4145 kg/m³
# Calculated total energy   -8.366 eV per atom



# ScZn2Ag PBE-GGA optimized geometry
data_ScZn2Ag
_chemical_formula_sum 'Sc4 Zn8 Ag4'
_space_group_name_H-M_alt 'F m -3 m'
_space_group_IT_number 225
_space_group_name_Hall '-F 4 2 3'
_cell_length_a 6.4835
_cell_length_b 6.4835
_cell_length_c 6.4835
_cell_angle_alpha 90.00
_cell_angle_beta 90.00
_cell_angle_gamma 90.00
loop_
_atom_site_label
_atom_site_fract_x
_atom_site_fract_y
_atom_site_fract_z
_atom_site_occupancy
Sc1 0.0000 0.0000 0.0000 1
Zn1 0.2500 0.2500 0.2500 1
Ag1 0.0000 0.0000 0.5000 1
# Energy of formation from the pure elements   -284 meV per atom
# Theoretical density   6913 kg/m³
# Calculated total energy   -3.206 eV per atom



# NaSr2Fe6As6 PBE-GGA optimized geometry
data_NaSr2Fe6As6
_chemical_formula_sum 'Na2 Sr4 Fe12 As12'
_space_group_name_H-M_alt 'C 1 2/m 1'
_space_group_IT_number 12
_space_group_name_Hall '-C 2y'
_cell_length_a 16.2617
_cell_length_b 5.5159
_cell_length_c 6.5174
_cell_angle_alpha 90.00
_cell_angle_beta 110.88
_cell_angle_gamma 90.00
loop_
_atom_site_label
_atom_site_fract_x
_atom_site_fract_y
_atom_site_fract_z
_atom_site_occupancy
Na1 0.0000 0.0000 0.0000 1
Sr1 0.1630 0.5000 0.3253 1
Fe1 0.0000 0.2497 0.5000 1
Fe2 0.1667 0.2500 0.8318 1
As1 0.0491 0.5000 0.8104 1
As2 0.1198 0.0000 0.5256 1
As3 0.2148 0.0000 0.1387 1
# Energy of formation from the pure elements   -439 meV per atom
# Theoretical density   5976 kg/m³
# Calculated total energy   -6.004 eV per atom



# Pm2SiPd PBE-GGA optimized geometry
data_Pm2SiPd
_chemical_formula_sum 'Pm8 Si4 Pd4'
_space_group_name_H-M_alt 'F m -3 m'
_space_group_IT_number 225
_space_group_name_Hall '-F 4 2 3'
_cell_length_a 7.2438
_cell_length_b 7.2438
_cell_length_c 7.2438
_cell_angle_alpha 90.00
_cell_angle_beta 90.00
_cell_angle_gamma 90.00
loop_
_atom_site_label
_atom_site_fract_x
_atom_site_fract_y
_atom_site_fract_z
_atom_site_occupancy
Pm1 0.2500 0.2500 0.2500 1
Si1 0.0000 0.0000 0.0000 1
Pd1 0.0000 0.0000 0.5000 1
# Energy of formation from the pure elements   -646 meV per atom
# Theoretical density   7418 kg/m³
# Calculated total energy   -5.673 eV per atom



# Mg5Ti PBE-GGA optimized geometry
data_Mg5Ti
_chemical_formula_sum 'Mg5 Ti1'
_space_group_name_H-M_alt 'P -6 2 m'
_space_group_IT_number 189
_space_group_name_Hall 'P -6 -2'
_cell_length_a 5.4825
_cell_length_b 5.4825
_cell_length_c 5.0371
_cell_angle_alpha 90.00
_cell_angle_beta 90.00
_cell_angle_gamma 120.00
loop_
_atom_site_label
_atom_site_fract_x
_atom_site_fract_y
_atom_site_fract_z
_atom_site_occupancy
Mg1 0.0000 0.6701 0.0000 1
Mg2 0.3333 0.6667 0.5000 1
Ti1 0.0000 0.0000 0.5000 1
# Energy of formation from the pure elements   165 meV per atom
# Theoretical density   2145 kg/m³
# Calculated total energy   -2.484 eV per atom



# Na6MgTi7P12O48 PBE-GGA optimized geometry
data_Na6MgTi7P12O48
_chemical_formula_sum 'Na18 Mg3 Ti21 P36 O144'
_space_group_name_H-M_alt 'P 1'
_space_group_IT_number 1
_space_group_name_Hall 'P 1'
_cell_length_a 8.6743
_cell_length_b 15.0205
_cell_length_c 22.1596
_cell_angle_alpha 90.00
_cell_angle_beta 89.97
_cell_angle_gamma 89.99
loop_
_atom_site_label
_atom_site_fract_x
_atom_site_fract_y
_atom_site_fract_z
_atom_site_occupancy
Na1 0.0000 0.0000 0.0000 1
Na2 0.9999 0.0005 0.5017 1
Na3 0.0010 0.3335 0.6657 1
Na4 0.0143 0.3332 0.1675 1
Na5 0.0144 0.6685 0.8353 1
Na6 0.3183 0.6865 0.2565 1
Na7 0.3705 0.9963 0.2566 1
Na8 0.4862 0.8335 0.6665 1
Na9 0.4920 0.1737 0.3394 1
Na10 0.4954 0.1723 0.8347 1
Na11 0.5013 0.5008 0.5015 1
Na12 0.5023 0.5013 0.0001 1
Na13 0.5140 0.8330 0.1664 1
Na14 0.6305 0.9975 0.7542 1
Na15 0.6835 0.6871 0.7542 1
Na16 0.8181 0.1864 0.2566 1
Na17 0.8704 0.4964 0.2565 1
Na18 0.9922 0.6736 0.3391 1
Mg1 0.0084 0.3331 0.3158 1
Mg2 0.4923 0.8333 0.8150 1
Mg3 0.5082 0.8330 0.3158 1
Ti1 0.0005 0.9989 0.3587 1
Ti2 0.0011 0.3338 0.5184 1
Ti3 0.0010 0.6669 0.4809 1
Ti4 0.0022 0.0023 0.6454 1
Ti5 0.0027 0.3336 0.8134 1
Ti6 0.0040 0.9985 0.8560 1
Ti7 0.0082 0.6658 0.6861 1
Ti8 0.4962 0.1711 0.6871 1
Ti9 0.4969 0.1695 0.1855 1
Ti10 0.4991 0.5009 0.1449 1
Ti11 0.4988 0.5012 0.8559 1
Ti12 0.4992 0.8339 0.0182 1
Ti13 0.4998 0.4991 0.3588 1
Ti14 0.5013 0.4988 0.6453 1
Ti15 0.5018 0.1663 0.9791 1
Ti16 0.5019 0.1665 0.4809 1
Ti17 0.5025 0.8340 0.5191 1
Ti18 0.9976 0.6696 0.1854 1
Ti19 0.9995 0.0005 0.1449 1
Ti20 0.9992 0.3340 0.0211 1
Ti21 0.9991 0.6671 0.9796 1
P1 0.1384 0.8564 0.2502 1
P2 0.1438 0.4770 0.9175 1
P3 0.1446 0.1905 0.9175 1
P4 0.1449 0.5217 0.5833 1
P5 0.1455 0.1435 0.2500 1
P6 0.1460 0.8115 0.5835 1
P7 0.2101 0.8329 0.9172 1
P8 0.2119 0.1681 0.5832 1
P9 0.2149 0.4995 0.2497 1
P10 0.2866 0.0016 0.7496 1
P11 0.2892 0.6678 0.0835 1
P12 0.2907 0.3323 0.4170 1
P13 0.3541 0.6893 0.4156 1
P14 0.3547 0.6422 0.7498 1
P15 0.3563 0.3116 0.0821 1
P16 0.3573 0.0225 0.0836 1
P17 0.3572 0.9795 0.4157 1
P18 0.3579 0.3581 0.7510 1
P19 0.6382 0.3566 0.2501 1
P20 0.6434 0.0229 0.5853 1
P21 0.6463 0.3106 0.5837 1
P22 0.6458 0.6436 0.2501 1
P23 0.6460 0.6886 0.9156 1
P24 0.6465 0.9791 0.9157 1
P25 0.7125 0.6676 0.5852 1
P26 0.7144 0.3338 0.9170 1
P27 0.7150 0.9996 0.2497 1
P28 0.7877 0.4986 0.7505 1
P29 0.7888 0.1678 0.0839 1
P30 0.7905 0.8324 0.4169 1
P31 0.8543 0.1890 0.4153 1
P32 0.8548 0.8116 0.0826 1
P33 0.8568 0.4797 0.4156 1
P34 0.8570 0.5225 0.0841 1
P35 0.8589 0.1447 0.7510 1
P36 0.8627 0.8560 0.7499 1
O1 0.0649 0.7622 0.2442 1
O2 0.0686 0.4298 0.5777 1
O3 0.0699 0.2342 0.2529 1
O4 0.0700 0.9004 0.3071 1
O5 0.0705 0.0979 0.9106 1
O6 0.0713 0.5701 0.9236 1
O7 0.0710 0.9042 0.5911 1
O8 0.0727 0.2353 0.9737 1
O9 0.0728 0.4324 0.8611 1
O10 0.0732 0.5676 0.6400 1
O11 0.0739 0.7667 0.5283 1
O12 0.0760 0.0962 0.1937 1
O13 0.1019 0.7518 0.9283 1
O14 0.1051 0.9152 0.1943 1
O15 0.1085 0.4198 0.2523 1
O16 0.1081 0.9183 0.9131 1
O17 0.1102 0.0842 0.5900 1
O18 0.1102 0.2515 0.5777 1
O19 0.1123 0.4192 0.9740 1
O20 0.1133 0.7522 0.6402 1
O21 0.1140 0.2486 0.8610 1
O22 0.1141 0.5865 0.2441 1
O23 0.1147 0.5805 0.5281 1
O24 0.1203 0.0836 0.3061 1
O25 0.1774 0.6485 0.7439 1
O26 0.1775 0.9881 0.4127 1
O27 0.1794 0.6758 0.4274 1
O28 0.1800 0.3194 0.0776 1
O29 0.1806 0.0140 0.0899 1
O30 0.1813 0.3481 0.7579 1
O31 0.1818 0.9932 0.6935 1
O32 0.1837 0.6538 0.0288 1
O33 0.1848 0.0135 0.8067 1
O34 0.1861 0.3471 0.4736 1
O35 0.1896 0.6801 0.1419 1
O36 0.2012 0.3147 0.3607 1
O37 0.3007 0.8147 0.8608 1
O38 0.3138 0.8459 0.2527 1
O39 0.3149 0.1541 0.5280 1
O40 0.3146 0.8471 0.9738 1
O41 0.3158 0.1808 0.6401 1
O42 0.3183 0.4912 0.1929 1
O43 0.3179 0.5166 0.3055 1
O44 0.3214 0.1815 0.9239 1
O45 0.3208 0.4852 0.9112 1
O46 0.3215 0.5130 0.5907 1
O47 0.3219 0.8198 0.5777 1
O48 0.3245 0.1490 0.2432 1
O49 0.3716 0.7397 0.3569 1
O50 0.3873 0.5853 0.8072 1
O51 0.3881 0.4139 0.6940 1
O52 0.3891 0.0871 0.7448 1
O53 0.3891 0.2527 0.1391 1
O54 0.3898 0.0827 0.0287 1
O55 0.3914 0.5839 0.0897 1
O56 0.3907 0.7512 0.0776 1
O57 0.3918 0.9185 0.4709 1
O58 0.3921 0.9208 0.7520 1
O59 0.3925 0.4183 0.4124 1
O60 0.4004 0.2524 0.4282 1
O61 0.4225 0.9448 0.3569 1
O62 0.4251 0.0736 0.4270 1
O63 0.4262 0.0663 0.1418 1
O64 0.4274 0.5940 0.6947 1
O65 0.4281 0.2667 0.0268 1
O66 0.4299 0.4016 0.8074 1
O67 0.4298 0.7368 0.4706 1
O68 0.4311 0.4039 0.0896 1
O69 0.4313 0.5952 0.4117 1
O70 0.4310 0.7332 0.7525 1
O71 0.4326 0.2646 0.7447 1
O72 0.4331 0.9306 0.0776 1
O73 0.5647 0.2623 0.2440 1
O74 0.5692 0.5946 0.9125 1
O75 0.5690 0.9303 0.5778 1
O76 0.5700 0.4004 0.3071 1
O77 0.5700 0.7342 0.2530 1
O78 0.5707 0.4034 0.5909 1
O79 0.5713 0.7364 0.9709 1
O80 0.5737 0.2665 0.5284 1
O81 0.5748 0.0657 0.6435 1
O82 0.5752 0.0731 0.9278 1
O83 0.5761 0.5962 0.1938 1
O84 0.5788 0.9449 0.8571 1
O85 0.6049 0.4152 0.1942 1
O86 0.6086 0.9198 0.2523 1
O87 0.6104 0.5832 0.5914 1
O88 0.6100 0.7507 0.5779 1
O89 0.6105 0.9184 0.9710 1
O90 0.6116 0.0821 0.5302 1
O91 0.6124 0.2503 0.9237 1
O92 0.6127 0.2528 0.6407 1
O93 0.6129 0.4175 0.9104 1
O94 0.6139 0.0866 0.2439 1
O95 0.6202 0.5836 0.3061 1
O96 0.6289 0.7395 0.8570 1
O97 0.6772 0.4880 0.4128 1
O98 0.6792 0.8198 0.0778 1
O99 0.6804 0.1517 0.7450 1
O100 0.6797 0.1756 0.4272 1
O101 0.6805 0.5133 0.0901 1
O102 0.6834 0.1555 0.0290 1
O103 0.6833 0.5159 0.8061 1
O104 0.6863 0.4853 0.6940 1
O105 0.6868 0.8463 0.7529 1
O106 0.6867 0.8472 0.4737 1
O107 0.6901 0.1807 0.1422 1
O108 0.7011 0.8147 0.3606 1
O109 0.8106 0.6803 0.6435 1
O110 0.8138 0.3459 0.2526 1
O111 0.8165 0.3473 0.9737 1
O112 0.8180 0.0169 0.3055 1
O113 0.8179 0.3203 0.8610 1
O114 0.8179 0.6537 0.5303 1
O115 0.8186 0.9913 0.1929 1
O116 0.8207 0.0140 0.5911 1
O117 0.8210 0.6754 0.9278 1
O118 0.8221 0.3197 0.5778 1
O119 0.8246 0.6489 0.2432 1
O120 0.8246 0.9890 0.9129 1
O121 0.8719 0.2398 0.3568 1
O122 0.8852 0.0840 0.8064 1
O123 0.8863 0.5845 0.7444 1
O124 0.8887 0.7528 0.1396 1
O125 0.8904 0.5814 0.0294 1
O126 0.8907 0.0840 0.0895 1
O127 0.8905 0.2514 0.0779 1
O128 0.8910 0.4162 0.7575 1
O129 0.8915 0.4185 0.4708 1
O130 0.8927 0.9183 0.4124 1
O131 0.8959 0.9164 0.6948 1
O132 0.8998 0.7523 0.4281 1
O133 0.9226 0.4448 0.3569 1
O134 0.9244 0.5737 0.4271 1
O135 0.9263 0.5654 0.1423 1
O136 0.9274 0.1014 0.6938 1
O137 0.9271 0.7664 0.0277 1
O138 0.9295 0.2366 0.4705 1
O139 0.9305 0.9008 0.8071 1
O140 0.9307 0.9039 0.0901 1
O141 0.9316 0.0951 0.4117 1
O142 0.9324 0.4300 0.0779 1
O143 0.9326 0.2374 0.7579 1
O144 0.9359 0.7620 0.7446 1
# Energy of formation from the pure elements   -2976 meV per atom
# Theoretical density   2824 kg/m³
# Calculated total energy   -7.493 eV per atom



# KCa3 PBE-GGA optimized geometry
data_KCa3
_chemical_formula_sum 'K4 Ca12'
_space_group_name_H-M_alt 'F m -3 m'
_space_group_IT_number 225
_space_group_name_Hall '-F 4 2 3'
_cell_length_a 9.0719
_cell_length_b 9.0719
_cell_length_c 9.0719
_cell_angle_alpha 90.00
_cell_angle_beta 90.00
_cell_angle_gamma 90.00
loop_
_atom_site_label
_atom_site_fract_x
_atom_site_fract_y
_atom_site_fract_z
_atom_site_occupancy
K1 0.0000 0.0000 0.0000 1
Ca1 0.0000 0.0000 0.5000 1
Ca2 0.2500 0.2500 0.2500 1
# Energy of formation from the pure elements   175 meV per atom
# Theoretical density   1417 kg/m³
# Calculated total energy   -1.607 eV per atom



# Mg6AlBiO8 PBE-GGA optimized geometry
data_Mg6AlBiO8
_chemical_formula_sum 'Mg6 Al1 Bi1 O8'
_space_group_name_H-M_alt 'P 4/m m m'
_space_group_IT_number 123
_space_group_name_Hall '-P 4 2'
_cell_length_a 4.5628
_cell_length_b 4.5628
_cell_length_c 8.8907
_cell_angle_alpha 90.00
_cell_angle_beta 90.00
_cell_angle_gamma 90.00
loop_
_atom_site_label
_atom_site_fract_x
_atom_site_fract_y
_atom_site_fract_z
_atom_site_occupancy
Mg1 0.0000 0.0000 0.0000 1
Mg2 0.0000 0.5000 0.2332 1
Mg3 0.5000 0.5000 0.0000 1
Al1 0.0000 0.0000 0.5000 1
Bi1 0.5000 0.5000 0.5000 1
O1 0.0000 0.0000 0.2328 1
O2 0.0000 0.5000 0.0000 1
O3 0.0000 0.5000 0.5000 1
O4 0.5000 0.5000 0.2272 1
# Energy of formation from the pure elements   -2370 meV per atom
# Theoretical density   4573 kg/m³
# Calculated total energy   -5.578 eV per atom
# Distance to the lowest polymorph of the same formula   92.8 meV per atom